1.
Compound: Tb3DyAl8
Source: Materials Project
Functional: r²SCAN
Structure: optimized geometry

abc: 9.6116 9.6116 9.6116
angles: 33.55 33.55 33.55
Element x y z (fractional)
1 Tb 0.0000 0.0000 0.0000
2 Tb 0.1249 0.1249 0.1249
3 Tb 0.6248 0.6248 0.6248
4 Dy 0.5000 0.5000 0.5000
5 Al 0.0624 0.0624 0.5623
6 Al 0.0624 0.5623 0.0624
7 Al 0.0626 0.5625 0.5625
8 Al 0.3124 0.3124 0.3124
9 Al 0.5623 0.0624 0.0624
10 Al 0.5625 0.0626 0.5625
11 Al 0.5625 0.5625 0.0626
12 Al 0.8125 0.8125 0.8125

Results
size of the total moment	0.000	μB per atom
energy of formation from the pure elements	-7.08	eV/f.u.

---

2.
Compound: DyYAl2
Source: Materials Project
Functional: r²SCAN
Structure: optimized geometry

abc: 5.0838 5.0838 5.0838
angles: 60.00 60.00 60.00
Element x y z (fractional)
1 Dy 0.0000 0.0000 0.0000
2 Y 0.5000 0.5000 0.5000
3 Al 0.2500 0.2500 0.2500
4 Al 0.7500 0.7500 0.7500

Results
size of the total moment	0.000	μB per atom
energy of formation from the pure elements	-1.75	eV/f.u.

---

3.
Compound: ErAl3
Source: Materials Project
Functional: r²SCAN
Structure: optimized geometry

abc: 4.2021 4.2021 4.2021
angles: 90.00 90.00 90.00
Element x y z (fractional)
1 Er 0.0000 0.0000 0.0000
2 Al 0.0000 0.5000 0.5000
3 Al 0.5000 0.0000 0.5000
4 Al 0.5000 0.5000 0.0000

Results
size of the total moment	0.000	μB per atom
energy of formation from the pure elements	-1.81	eV/f.u.

---

4.
Compound: ErAl2
Source: Materials Project
Functional: r²SCAN
Structure: optimized geometry

abc: 5.4974 5.4974 5.4974
angles: 60.00 60.00 60.00
Element x y z (fractional)
1 Er 0.1250 0.1250 0.1250
2 Er 0.8750 0.8750 0.8750
3 Al 0.0000 0.5000 0.5000
4 Al 0.5000 0.0000 0.5000
5 Al 0.5000 0.5000 0.0000
6 Al 0.5000 0.5000 0.5000

Results
size of the total moment	0.000	μB per atom
energy of formation from the pure elements	-1.72	eV/f.u.

---

5.
Compound: Er3Al2
Source: Materials Project
Functional: r²SCAN
Structure: optimized geometry

abc: 8.1131 8.1131 7.5409
angles: 90.00 90.00 90.00
Element x y z (fractional)
1 Er 0.0000 0.5000 0.2500
2 Er 0.0000 0.5000 0.7500
3 Er 0.1515 0.1515 0.0000
4 Er 0.2014 0.2014 0.5000
5 Er 0.2986 0.7014 0.0000
6 Er 0.3485 0.6515 0.5000
7 Er 0.5000 0.0000 0.2500
8 Er 0.5000 0.0000 0.7500
9 Er 0.6515 0.3485 0.5000
10 Er 0.7014 0.2986 0.0000
11 Er 0.7986 0.7986 0.5000
12 Er 0.8485 0.8485 0.0000
13 Al 0.1187 0.8813 0.3026
14 Al 0.1187 0.8813 0.6974
15 Al 0.3813 0.3813 0.1974
16 Al 0.3813 0.3813 0.8026
17 Al 0.6187 0.6187 0.1974
18 Al 0.6187 0.6187 0.8026
19 Al 0.8813 0.1187 0.3026
20 Al 0.8813 0.1187 0.6974

Results
size of the total moment	0.000	μB per atom
energy of formation from the pure elements	-1.87	eV/f.u.

---

6.
Compound: ErAl3
Source: Materials Project
Functional: r²SCAN
Structure: optimized geometry

abc: 12.3614 12.3614 12.3614
angles: 28.22 28.22 28.22
Element x y z (fractional)
1 Er 0.0000 0.0000 0.0000
2 Er 0.1313 0.1313 0.1313
3 Er 0.4000 0.4000 0.4000
4 Er 0.6000 0.6000 0.6000
5 Er 0.8687 0.8687 0.8687
6 Al 0.0000 0.5000 0.5000
7 Al 0.1168 0.1168 0.5677
8 Al 0.1168 0.5677 0.1168
9 Al 0.1289 0.6357 0.6357
10 Al 0.3643 0.3643 0.8711
11 Al 0.3643 0.8711 0.3643
12 Al 0.4323 0.8832 0.8832
13 Al 0.5000 0.0000 0.5000
14 Al 0.5000 0.5000 0.0000
15 Al 0.5677 0.1168 0.1168
16 Al 0.6357 0.1289 0.6357
17 Al 0.6357 0.6357 0.1289
18 Al 0.8711 0.3643 0.3643
19 Al 0.8832 0.4323 0.8832
20 Al 0.8832 0.8832 0.4323

Results
size of the total moment	0.000	μB per atom
energy of formation from the pure elements	-1.83	eV/f.u.

---

7.
Compound: ErAl3
Source: Materials Project
Functional: r²SCAN
Structure: optimized geometry

abc: 6.1739 6.1739 4.5875
angles: 90.00 90.00 120.00
Element x y z (fractional)
1 Er 0.3333 0.6667 0.2500
2 Er 0.6667 0.3333 0.7500
3 Al 0.1478 0.2956 0.7500
4 Al 0.1478 0.8522 0.7500
5 Al 0.2956 0.1478 0.2500
6 Al 0.7044 0.8522 0.7500
7 Al 0.8522 0.1478 0.2500
8 Al 0.8522 0.7044 0.2500

Results
size of the total moment	0.000	μB per atom
energy of formation from the pure elements	-1.84	eV/f.u.

---

8.
Compound: ErAl8Fe4
Source: Materials Project
Functional: r²SCAN
Structure: optimized geometry

abc: 6.6225 6.6225 6.6225
angles: 98.14 98.14 135.80
Element x y z (fractional)
1 Er 0.0000 0.0000 0.0000
2 Al 0.0000 0.3410 0.3410
3 Al 0.0000 0.6590 0.6590
4 Al 0.2788 0.5000 0.7788
5 Al 0.3410 0.0000 0.3410
6 Al 0.5000 0.2788 0.7788
7 Al 0.5000 0.7212 0.2212
8 Al 0.6590 0.0000 0.6590
9 Al 0.7212 0.5000 0.2212
10 Fe 0.0000 0.0000 0.5000
11 Fe 0.0000 0.5000 0.0000
12 Fe 0.5000 0.0000 0.0000
13 Fe 0.5000 0.5000 0.5000

Results
size of the total moment	0.527	μB per atom
energy of formation from the pure elements	-5.03	eV/f.u.

---

For the records above, the corresponding theoretical density values read 5.9, 5.5, 5.6, 6.3, 7.4, 5.5, 5.4, 5.4 g cm⁻³.